Computed, not measured: LiH2IO after structural relaxation at the PBE level of DFT.

Results
ΔH_f (0 K): -1.27 eV per atom
Mass density: 3.172 g/cm3

abc: 6.4345 4.3971 5.6203
angles: 90.00 90.00 90.00
Space group Pmma (No. 51)
Inequivalent atoms, fractional coordinates:
Li: 0.0000 0.0000 0.0000 x2
H: 0.2500 0.1755 0.3528 x4
I: 0.2500 0.5000 0.7455 x2
O: 0.2500 0.0000 0.2430 x2

---

Computed, not measured: MgH12I8O6 after structural relaxation at the PBE level of DFT.

Results
ΔH_f (0 K): -1.01 eV per atom
Mass density: 3.367 g/cm3

abc: 7.7312 9.1270 9.6841
angles: 63.86 67.63 77.03
Space group P-1 (No. 2)
Inequivalent atoms, fractional coordinates:
Mg: 0.0000 0.0000 0.0000 x1
H: 0.0973 0.3083 0.7695 x2
H: 0.1427 0.7663 0.8688 x2
H: 0.2035 0.9491 0.2034 x2
H: 0.2109 0.1873 0.6842 x2
H: 0.2838 0.1009 0.0398 x2
H: 0.2886 0.7668 0.9475 x2
I: 0.0339 0.3569 0.2604 x2
I: 0.2607 0.6357 0.4313 x2
I: 0.3630 0.1059 0.4298 x2
I: 0.4650 0.3781 0.8713 x2
O: 0.1298 0.1926 0.7887 x2
O: 0.1755 0.8239 0.9194 x2
O: 0.1917 0.0171 0.0960 x2

---

Computed, not measured: MgH16I2O8 after structural relaxation at the PBE level of DFT.

Results
ΔH_f (0 K): -1.28 eV per atom
Mass density: 2.003 g/cm3

abc: 8.8139 15.6006 10.1815
angles: 90.00 90.00 90.00
Space group Cmce (No. 64)
Inequivalent atoms, fractional coordinates:
Mg: 0.0000 0.0000 0.0000 x4
H: 0.0000 0.1288 0.1877 x8
H: 0.0000 0.1770 0.0506 x8
H: 0.0899 0.0897 0.7874 x16
H: 0.1946 0.0474 0.4726 x16
H: 0.2307 0.1920 0.6753 x16
I: 0.0000 0.1742 0.4368 x8
O: 0.0000 0.0569 0.8168 x8
O: 0.0000 0.1199 0.0919 x8
O: 0.2388 0.0000 0.0000 x8
O: 0.2500 0.1541 0.7500 x8

---

Computed, not measured: NiH18I6N6 after structural relaxation at the PBE level of DFT.

Results
ΔH_f (0 K): -0.42 eV per atom
Mass density: 2.871 g/cm3

abc: 15.7067 15.4937 8.9505
angles: 90.00 101.54 90.00
Space group C2/c (No. 15)
Inequivalent atoms, fractional coordinates:
Ni: 0.2500 0.2500 0.0000 x4
H: 0.0800 0.2096 0.9233 x8
H: 0.1268 0.1763 0.7849 x8
H: 0.1298 0.2856 0.1675 x8
H: 0.1356 0.1184 0.9412 x8
H: 0.1358 0.3566 0.8250 x8
H: 0.1887 0.4132 0.9695 x8
H: 0.2103 0.2350 0.2780 x8
H: 0.2188 0.3379 0.2434 x8
H: 0.2337 0.3920 0.8232 x8
I: 0.0000 0.0693 0.2500 x4
I: 0.0000 0.5000 0.0000 x4
I: 0.0547 0.3168 0.5023 x8
I: 0.1748 0.0729 0.4505 x8
N: 0.1348 0.1805 0.9013 x8
N: 0.1964 0.2806 0.1937 x8
N: 0.1959 0.3661 0.8930 x8

---

> The highest mass density belongs to which entry?

MgH12I8O6